(1)
This record from the Materials Project describes a relaxed structure of KTaAg2Se4. The functional is PBE.

Formation enthalpy at 0 K   -0.91 eV/atom
Space group   No. 40
M_tot   0.002 μB per formula unit
Piezoelectric modulus e_max   0.38 C/m²

Cell lengths 8.376, 10.421, 10.421 Å; angles 145.59, 90.00, 90.00 degrees
Sites, in units of the cell vectors:
K 0.250 0.184 0.816
K 0.750 0.816 0.184
Ta 0.250 0.659 0.885
Ta 0.750 0.885 0.659
Ag 0.000 0.736 0.736
Ag 0.250 0.158 0.387
Ag 0.500 0.736 0.736
Ag 0.750 0.387 0.158
Se 0.006 0.430 0.669
Se 0.250 0.773 0.202
Se 0.250 0.993 0.013
Se 0.494 0.430 0.669
Se 0.506 0.669 0.430
Se 0.750 0.013 0.993
Se 0.750 0.202 0.773
Se 0.994 0.669 0.430



(2)
This record from the Materials Project describes a relaxed structure of PrAl2Au2. The functional is PBE.

Formation enthalpy at 0 K   -0.75 eV/atom
Space group   No. 129

Cell lengths 4.485, 4.485, 10.361 Å; angles 90.00, 90.00, 90.00 degrees
Sites, in units of the cell vectors:
Pr 0.250 0.250 0.249
Pr 0.750 0.750 0.751
Al 0.250 0.250 0.872
Al 0.250 0.750 0.500
Al 0.750 0.250 0.500
Al 0.750 0.750 0.128
Au 0.250 0.250 0.629
Au 0.250 0.750 0.000
Au 0.750 0.250 0.000
Au 0.750 0.750 0.371



(3)
This record from the Materials Project describes a relaxed structure of KCaCl3. The functional is PBE.

Formation enthalpy at 0 K   -2.61 eV/atom
Space group   No. 62

Cell lengths 7.619, 10.532, 7.327 Å; angles 90.00, 90.00, 90.00 degrees
Sites, in units of the cell vectors:
K 0.064 0.250 0.017
K 0.436 0.750 0.517
K 0.564 0.250 0.483
K 0.936 0.750 0.983
Ca 0.000 0.000 0.500
Ca 0.000 0.500 0.500
Ca 0.500 0.000 0.000
Ca 0.500 0.500 0.000
Cl 0.032 0.750 0.401
Cl 0.199 0.551 0.804
Cl 0.199 0.949 0.804
Cl 0.301 0.051 0.304
Cl 0.301 0.449 0.304
Cl 0.468 0.250 0.901
Cl 0.532 0.750 0.099
Cl 0.699 0.551 0.696
Cl 0.699 0.949 0.696
Cl 0.801 0.051 0.196
Cl 0.801 0.449 0.196
Cl 0.968 0.250 0.599



(4)
This record from the Materials Project describes a relaxed structure of Si3Ag3Sn2P6. The functional is PBE.

Formation enthalpy at 0 K   -0.13 eV/atom
Space group   No. 217
M_tot   0.000 μB per formula unit
Piezoelectric modulus e_max   0.09 C/m²

Cell lengths 9.071, 9.071, 9.071 Å; angles 109.47, 109.47, 109.47 degrees
Sites, in units of the cell vectors:
Si 0.250 0.500 0.750
Si 0.250 0.750 0.500
Si 0.500 0.250 0.750
Si 0.500 0.750 0.250
Si 0.750 0.250 0.500
Si 0.750 0.500 0.250
Ag 0.000 0.199 0.199
Ag 0.000 0.801 0.801
Ag 0.199 0.000 0.199
Ag 0.199 0.199 0.000
Ag 0.801 0.000 0.801
Ag 0.801 0.801 0.000
Sn 0.000 0.000 0.590
Sn 0.000 0.590 0.000
Sn 0.410 0.410 0.410
Sn 0.590 0.000 0.000
P 0.000 0.248 0.499
P 0.000 0.499 0.248
P 0.248 0.000 0.499
P 0.248 0.499 0.000
P 0.251 0.752 0.752
P 0.499 0.000 0.248
P 0.499 0.248 0.000
P 0.501 0.501 0.749
P 0.501 0.749 0.501
P 0.749 0.501 0.501
P 0.752 0.251 0.752
P 0.752 0.752 0.251



(5)
This record from the Materials Project describes a relaxed structure of CaTl6C2O6F2. The functional is PBE.

Energy above the most stable polymorph in this dataset   38 meV per atom
Formation enthalpy at 0 K   -1.61 eV/atom
Space group   No. 1
M_tot   0.000 μB per formula unit

Cell lengths 7.399, 7.577, 7.595 Å; angles 63.18, 89.56, 87.87 degrees
Sites, in units of the cell vectors:
Ca 0.000 0.000 0.000
Tl 0.255 0.995 0.509
Tl 0.310 0.449 0.009
Tl 0.413 0.716 0.283
Tl 0.587 0.021 0.755
Tl 0.820 0.454 0.246
Tl 0.831 0.624 0.671
C 0.222 0.386 0.624
C 0.749 0.027 0.262
O 0.137 0.257 0.775
O 0.230 0.375 0.459
O 0.301 0.530 0.640
O 0.654 0.032 0.403
O 0.790 0.859 0.258
O 0.811 0.187 0.118
F 0.040 0.738 0.949
F 0.613 0.644 0.921



(6)
This record from the Materials Project describes a relaxed structure of TbHg2. The functional is PBE.

Formation enthalpy at 0 K   -0.07 eV/atom
Space group   No. 164
M_tot   0.012 μB per formula unit

Cell lengths 5.376, 5.376, 3.397 Å; angles 90.00, 90.00, 120.00 degrees
Sites, in units of the cell vectors:
Tb 0.000 0.000 0.000
Hg 0.333 0.667 0.044
Hg 0.667 0.333 0.956



(7)
This record from the Materials Project describes a relaxed structure of MnCdTe2. The functional is PBE.

Formation enthalpy at 0 K   -0.35 eV/atom
Space group   No. 123
M_tot   4.886 μB per formula unit

Cell lengths 4.231, 4.231, 6.014 Å; angles 90.00, 90.00, 90.00 degrees
Sites, in units of the cell vectors:
Mn 0.000 0.000 0.000
Cd 0.500 0.500 0.500
Te 0.000 0.000 0.500
Te 0.500 0.500 0.000



(8)
This record from the Materials Project describes a relaxed structure of LuMgCd2. The functional is PBE.

Formation enthalpy at 0 K   -0.26 eV/atom
Space group   No. 225

Cell lengths 5.049, 5.049, 5.049 Å; angles 60.00, 60.00, 60.00 degrees
Sites, in units of the cell vectors:
Lu 0.000 0.000 0.000
Mg 0.500 0.500 0.500
Cd 0.250 0.250 0.250
Cd 0.750 0.750 0.750